Li3Mn3TeO8 | PBE+U | optimized geometry

```
Li3Mn3TeO8
1.0
-5.2992 -2.8197 -1.9470
-3.0950 -3.9096 3.8665
-2.5107 9.8229 2.7890
O Li Mn Te
16 6 6 2
direct
0.3921 0.3914 0.6146
0.6080 0.1690 0.3854
0.6692 0.1083 0.8857
0.1079 0.1085 0.8854
0.1692 0.6083 0.3857
0.8921 0.8915 0.1146
0.8920 0.3310 0.1146
0.6079 0.6086 0.3854
0.3637 0.3677 0.0994
0.1080 0.6690 0.8854
0.3920 0.8310 0.6146
0.3308 0.8917 0.1143
0.8308 0.3917 0.6143
0.6363 0.6323 0.9006
0.8637 0.8676 0.5994
0.1363 0.1324 0.4006
0.7500 0.2500 0.7500
0.2500 0.2500 0.2500
0.7500 0.7500 0.7500
0.7500 0.2500 0.2500
0.2500 0.7500 0.2500
0.2500 0.7500 0.7500
0.5000 0.0000 0.5000
0.0000 0.5000 0.5000
0.5000 0.0000 0.0000
0.0000 0.0000 0.5000
0.5000 0.5000 0.0000
0.0000 0.5000 0.0000
0.5000 0.5000 0.5000
0.0000 0.0000 0.0000
```

Results
**VASP energy**: -191.0 eV per cell
**Calculated formation energy**: -2.0041 eV/atom

Li3Mn3TeO8 | PBE+U | optimized geometry

```
Li3Mn3TeO8
1.0
3.4848 4.3265 2.6434
7.0732 -4.5114 -2.7564
0.0000 3.2699 -5.3523
O Mn Li Te
16 6 6 2
direct
0.4951 0.2796 0.4992
0.9864 0.2169 0.5031
0.0120 0.7797 0.4972
0.7087 0.5044 0.7395
0.2085 0.0033 0.7591
0.2406 0.0040 0.2038
0.5042 0.7207 0.5004
0.5137 0.2830 0.0031
0.7599 0.9951 0.7962
0.7913 0.9956 0.2396
0.7401 0.5049 0.2962
0.9957 0.7792 0.0004
0.2593 0.4959 0.7037
0.2915 0.4966 0.2590
0.4880 0.7202 0.9972
0.0050 0.2203 0.9992
0.5008 0.5009 0.9999
0.2458 0.7456 0.7508
0.9992 0.9990 0.4997
0.7439 0.2446 0.7492
0.2543 0.7543 0.2508
0.7565 0.2555 0.2493
0.7607 0.7477 0.2612
0.9967 0.5076 0.5034
0.2380 0.2523 0.7374
0.5029 0.9930 0.0029
0.2621 0.2477 0.2375
0.7391 0.7524 0.7613
0.4994 0.5001 0.4997
0.0006 0.9999 0.9997
```

Results
**VASP energy**: -191.3 eV per cell
**Symmetry**: P2_1, No. 4
**Calculated formation energy**: -2.0139 eV/atom

Li4Mn3TeO12 | PBE+U | optimized geometry

```
Li4Mn3TeO12
1.0
-3.7267 3.3692 -0.3130
-2.5773 -2.5167 3.3433
3.4921 4.4221 6.0208
Te Mn O Li
1 3 12 4
direct
0.0000 0.0000 0.1016
0.0000 0.5000 0.4199
0.5000 0.0000 0.9021
0.5000 0.5000 0.6045
0.6721 0.2052 0.0823
0.8419 0.7550 0.2604
0.1758 0.2044 0.9245
0.3440 0.7543 0.7530
0.3279 0.7948 0.0823
0.3300 0.6921 0.4286
0.6700 0.3079 0.4286
0.1581 0.2450 0.2604
0.1698 0.3057 0.5918
0.8242 0.7956 0.9245
0.8302 0.6943 0.5918
0.6560 0.2457 0.7530
0.0000 0.0000 0.7057
0.0000 0.5000 0.8082
0.5000 0.5000 0.1999
0.5000 0.0000 0.3178
```

Results
**VASP energy**: -120.9 eV per cell
**Symmetry**: P2, No. 3
**Calculated formation energy**: -1.8247 eV/atom

Li2Mn3TeO8 | PBE+U | optimized geometry

```
Li2Mn3TeO8
1.0
-5.9053 -1.3191 -1.5225
-3.4615 -3.8780 3.4528
-4.7853 2.0823 3.4203
Te Mn O Li
1 3 8 2
direct
0.5000 0.5000 0.5000
0.5000 0.5000 0.0000
0.0000 0.5000 0.5000
0.5000 0.0000 0.5000
0.2743 0.2742 0.7228
0.7258 0.2772 0.7258
0.2742 0.7228 0.2742
0.2734 0.2734 0.2734
0.2772 0.7258 0.7257
0.7228 0.2742 0.2743
0.7266 0.7266 0.7266
0.7257 0.7258 0.2772
0.1397 0.1397 0.1397
0.8603 0.8603 0.8603
```

Results
**VASP energy**: -91.4 eV per cell
**Symmetry**: R-3m, No. 166
**Calculated formation energy**: -1.9884 eV/atom

Li3Mn3TeO8 | PBE+U | optimized geometry

```
Li3Mn3TeO8
1.0
-4.5330 -3.3582 2.4202
1.8699 -4.9358 -3.3694
5.5873 -2.2644 6.4246
O Li Mn Te
16 6 6 2
direct
0.9966 0.0003 0.7789
0.2743 0.2766 0.4958
0.5034 0.5008 0.7211
0.2751 0.7226 0.4946
0.5108 0.0016 0.2815
0.4966 0.5004 0.2788
0.7752 0.2226 0.9946
0.4891 0.0022 0.7183
0.7743 0.7765 0.9959
0.7252 0.7227 0.5054
0.0034 0.0007 0.2212
0.7252 0.2766 0.5041
0.9891 0.5021 0.2183
0.2253 0.2224 0.0054
0.2252 0.7763 0.0040
0.0108 0.5015 0.7814
0.4999 0.9971 0.0006
0.2492 0.7483 0.2495
0.0001 0.4972 0.4998
0.7509 0.7480 0.7505
0.7494 0.2484 0.7495
0.2508 0.2482 0.2505
0.2496 0.7527 0.7473
0.0000 0.4994 0.9999
0.2504 0.2525 0.7528
0.7505 0.7525 0.2528
0.7497 0.2525 0.2474
0.5000 0.9995 0.4999
0.0000 0.9988 0.9999
0.4999 0.4989 0.5001
```

Results
**VASP energy**: -191.2 eV per cell
**Calculated formation energy**: -2.0119 eV/atom

Li2Mn3TeO8 | PBE+U | optimized geometry

```
Li2Mn3TeO8
1.0
-5.5817 1.9160 1.4005
0.7355 -4.8619 -3.5508
0.0018 -5.8357 7.9907
O Mn Te Li
16 6 2 4
direct
0.8267 0.1733 0.0892
0.8267 0.6533 0.0892
0.4807 0.5193 0.3572
0.6533 0.8267 0.5892
0.9615 0.4807 0.8572
0.3467 0.1733 0.0892
0.4807 0.9615 0.3572
0.6667 0.3333 0.6142
0.0000 0.0000 0.2901
0.5193 0.4807 0.8572
0.5193 0.0385 0.8572
0.0385 0.5193 0.3572
0.0000 0.0000 0.7901
0.1733 0.8267 0.5892
0.3333 0.6667 0.1142
0.1733 0.3467 0.5892
0.1707 0.3414 0.2112
0.1707 0.8293 0.2112
0.3414 0.1707 0.7112
0.8293 0.1707 0.7112
0.6586 0.8293 0.2112
0.8293 0.6586 0.7112
0.3333 0.6667 0.4829
0.6667 0.3333 0.9829
0.0000 0.0000 0.9816
0.6667 0.3333 0.4120
0.3333 0.6667 0.9120
0.0000 0.0000 0.4816
```

Results
**Piezoelectric modulus e_max**: 4.9 C/m2
**VASP energy**: -183.0 eV per cell
**Symmetry**: P6_3mc, No. 186
**Calculated formation energy**: -1.9991 eV/atom

Li3Mn3TeO8 | PBE+U | optimized geometry

```
Li3Mn3TeO8
1.0
5.2822 -1.7529 2.5701
7.1588 -1.2030 -8.0812
3.4814 4.3386 2.5719
O Te Mn Li
16 2 6 6
direct
0.7864 0.6090 0.8315
0.2815 0.1429 0.3704
0.2132 0.6160 0.3917
0.2218 0.1088 0.8946
0.7869 0.8840 0.1084
0.2137 0.8910 0.6684
0.2208 0.8925 0.1218
0.7780 0.3913 0.6055
0.7792 0.6075 0.3780
0.7720 0.8570 0.5758
0.2256 0.3847 0.1706
0.7705 0.1071 0.8859
0.2283 0.6430 0.9240
0.7742 0.1153 0.3293
0.7181 0.3571 0.1299
0.2293 0.3928 0.6141
0.0013 0.5001 0.4989
0.9986 0.9999 0.0010
0.5001 0.2499 0.2500
0.0001 0.7501 0.2500
0.5001 0.7502 0.7500
0.5040 0.5018 0.9979
0.4961 0.9984 0.5023
0.9999 0.2499 0.7501
0.0002 0.7500 0.7500
0.9808 0.9841 0.5148
0.5310 0.4829 0.4672
0.9999 0.2499 0.2501
0.4690 0.0169 0.0329
0.0196 0.5159 0.9849
```

Results
**VASP energy**: -191.5 eV per cell
**Symmetry**: P-1, No. 2
**Calculated formation energy**: -2.0202 eV/atom

Li3Mn3TeO8 | PBE+U | optimized geometry

```
Li3Mn3TeO8
1.0
-1.1862 -0.7637 6.1143
-0.5540 5.0735 3.6480
-9.1893 -1.0514 -4.8102
O Li Mn Te
16 6 6 2
direct
0.3258 0.8890 0.1125
0.6723 0.6152 0.8964
0.5959 0.6148 0.3791
0.8369 0.3991 0.6076
0.1150 0.1720 0.3966
0.4046 0.3853 0.6210
0.1636 0.6011 0.3925
0.3268 0.3850 0.1036
0.3899 0.8262 0.6131
0.6109 0.1737 0.3871
0.8974 0.3361 0.1085
0.1018 0.6639 0.8913
0.8858 0.8280 0.6036
0.8858 0.9016 0.1200
0.6737 0.1110 0.8872
0.1135 0.0985 0.8797
0.7518 0.7465 0.7500
0.2608 0.7162 0.2380
0.7853 0.2408 0.2618
0.7397 0.2837 0.7620
0.2152 0.7582 0.7382
0.2482 0.2530 0.2501
0.0003 0.5000 0.5000
0.9991 0.5004 0.0001
0.4994 0.4998 0.9998
0.4995 0.0003 0.9998
0.0006 0.0002 0.5004
0.5005 0.0001 0.5003
0.5003 0.5000 0.5000
0.9997 0.0001 0.9999
```

Results
**VASP energy**: -191.4 eV per cell
**Symmetry**: P1, No. 1
**Calculated formation energy**: -2.0186 eV/atom

Li4Ti3Mn3Te2O16 | PBE+U | optimized geometry

```
Li4Ti3Mn3Te2O16
1.0
0.0761 -4.8867 -3.5118
9.7685 -1.8330 2.7625
-3.3758 -5.8737 8.1033
Te O Li Ti Mn
4 32 8 6 6
direct
0.9998 0.4937 0.6661
0.0000 0.9939 0.3595
0.5000 0.9939 0.8595
0.4998 0.4937 0.1661
0.2690 0.6076 0.5762
0.9999 0.5786 0.8313
0.2364 0.3437 0.7258
0.5000 0.3180 0.0044
0.7311 0.6075 0.5763
0.2637 0.3438 0.2258
0.5001 0.1195 0.6498
0.7690 0.6076 0.0762
0.7637 0.3439 0.7258
0.2313 0.8161 0.2552
0.0000 0.3180 0.5044
0.7687 0.8160 0.2552
0.2484 0.0908 0.9322
0.0001 0.8040 0.9976
0.2686 0.8161 0.7551
0.0000 0.1149 0.6564
0.7484 0.0908 0.4322
0.5000 0.8577 0.9884
0.5000 0.1149 0.1564
0.5000 0.3114 0.5013
0.7313 0.8161 0.7551
0.2312 0.6075 0.0763
0.0000 0.3114 0.0013
0.2516 0.0908 0.4322
0.0001 0.1195 0.1498
0.7516 0.0907 0.9322
0.5001 0.8040 0.4976
0.4999 0.5786 0.3313
0.7364 0.3437 0.2258
0.0000 0.8577 0.4884
0.5000 0.6153 0.8371
0.0000 0.6153 0.3372
0.0000 0.9901 0.0083
0.9999 0.4918 0.0004
0.0000 0.4002 0.3310
0.4999 0.9017 0.1707
0.9999 0.9017 0.6707
0.5000 0.4002 0.8310
0.5000 0.9902 0.5083
0.5000 0.4918 0.5004
0.2514 0.2218 0.0881
0.7514 0.2218 0.5881
0.7487 0.2220 0.0881
0.2487 0.2219 0.5881
0.4999 0.7216 0.6765
0.9999 0.7216 0.1765
0.7501 0.7114 0.4174
0.5000 0.2124 0.3316
0.7500 0.7115 0.9173
0.2500 0.7115 0.4173
0.2501 0.7115 0.9174
0.0000 0.2124 0.8316
```

Results
**VASP energy**: -394.0 eV per cell
**Calculated formation energy**: -2.4539 eV/atom

Li4Ti2Mn7O18 | PBE+U | optimized geometry

```
Li4Ti2Mn7O18
1.0
-0.9774 -0.8310 -2.6546
8.4838 0.0469 -3.1384
2.5634 -24.0048 6.5707
O Li Ti Mn
36 8 4 14
direct
0.0000 0.6603 0.0087
0.0000 0.5491 0.6606
0.5000 0.7899 0.0878
0.5000 0.9985 0.5763
0.0000 0.0540 0.0593
0.5000 0.0015 0.4237
0.0000 0.3990 0.8382
0.0000 0.8512 0.2814
0.0000 0.9460 0.9407
0.0000 0.9509 0.1606
0.0000 0.6488 0.7814
0.5000 0.6880 0.3550
0.0000 0.4460 0.5593
0.5000 0.4985 0.9237
0.0000 0.8990 0.6618
0.5000 0.7101 0.5878
0.5000 0.1054 0.2414
0.5000 0.8120 0.8550
0.5000 0.6054 0.2586
0.0000 0.3397 0.9913
0.5000 0.3946 0.7414
0.0000 0.4509 0.3394
0.0000 0.3512 0.2186
0.5000 0.3120 0.6450
0.5000 0.2101 0.9122
0.0000 0.5540 0.4407
0.5000 0.2899 0.4122
0.5000 0.5015 0.0763
0.5000 0.8946 0.7586
0.0000 0.6010 0.1618
0.0000 0.1488 0.7186
0.5000 0.1880 0.1450
0.0000 0.1010 0.3382
0.0000 0.1603 0.4913
0.0000 0.0491 0.8394
0.0000 0.8397 0.5087
0.5000 0.3099 0.5108
0.5000 0.3065 0.2935
0.5000 0.6901 0.4892
0.5000 0.8065 0.2065
0.5000 0.1901 0.0108
0.5000 0.1935 0.7935
0.5000 0.6935 0.7065
0.5000 0.8099 0.9892
0.5000 0.5032 0.6040
0.5000 0.0032 0.8960
0.5000 0.4968 0.3960
0.5000 0.9968 0.1040
0.5000 0.9761 0.3101
0.5000 0.0239 0.6899
0.5000 0.5000 0.0000
0.0000 0.1434 0.4139
0.5000 0.4761 0.1899
0.5000 0.0000 0.5000
0.0000 0.3527 0.6940
0.0000 0.3566 0.9139
0.0000 0.8566 0.5861
0.0000 0.8527 0.8060
0.5000 0.5239 0.8101
0.0000 0.1473 0.1940
0.0000 0.6434 0.0861
0.0000 0.6473 0.3060
```

Results
**VASP energy**: -447.0 eV per cell
**Symmetry**: Pbam, No. 55
**Calculated formation energy**: -2.2876 eV/atom

Li10Ti3Mn5O16 | PBE+U | optimized geometry

```
Li10Ti3Mn5O16
1.0
6.0319 0.0000 0.0000
-2.9917 5.4554 0.0000
-0.0271 -0.3596 10.1023
Li O Mn Ti
10 16 5 3
direct
0.4206 0.2576 0.5469
0.8190 0.6291 0.5616
0.0074 0.9882 0.4858
0.6842 0.3587 0.7780
0.6457 0.8120 0.0751
0.3567 0.6977 0.2690
0.8577 0.2539 0.5468
0.0251 0.0449 0.9912
0.2375 0.4596 0.0528
0.1779 0.8138 0.0766
0.5131 0.0012 0.6728
0.9969 0.9816 0.6750
0.3677 0.7179 0.8967
0.5067 0.9995 0.1626
0.6848 0.8095 0.4014
0.9830 0.9536 0.1705
0.8766 0.7282 0.8971
0.3330 0.1629 0.8960
0.0302 0.5479 0.6748
0.6926 0.3651 0.4100
0.1632 0.3053 0.4342
0.8400 0.1649 0.8941
0.9964 0.5025 0.1639
0.5211 0.5042 0.1652
0.5324 0.5475 0.6756
0.1457 0.8089 0.3984
0.6555 0.3004 0.0359
0.8480 0.1712 0.2858
0.3404 0.1718 0.2858
0.1880 0.3570 0.7802
0.3430 0.6714 0.5201
0.1630 0.8456 0.7916
0.6696 0.8652 0.7809
0.8354 0.6543 0.2904
```

Results
**VASP energy**: -231.3 eV per cell
**Symmetry**: P1, No. 1
**Calculated formation energy**: -2.4380 eV/atom